# Nb6Tl3SBr17, optimized geometry, DFT PBE-GGA
# crystal system = monoclinic
# ΔE_f = -28.4 eV per formula unit
# polymorph energy (0 for the lowest one) = 0 meV/atom
# total energy after the MP2020 corrections = -4.742 eV per atom
data_Nb6Tl3SBr17
_chemical_formula_sum 'Nb24 Tl12 S4 Br68'
_space_group_name_H-M_alt 'C 1 2/c 1'
_space_group_IT_number 15
_cell_length_a 17.6319
_cell_length_b 22.5427
_cell_length_c 9.6548
_cell_angle_alpha 90.00
_cell_angle_beta 99.49
_cell_angle_gamma 90.00
loop_
_space_group_symop_operation_xyz
'x,y,z'
'-x,-y,-z'
'-x,y,-z+1/2'
'x,-y,z+1/2'
'x+1/2,y+1/2,z'
'-x+1/2,-y+1/2,-z'
'-x+1/2,y+1/2,-z+1/2'
'x+1/2,-y+1/2,z+1/2'
loop_
_atom_site_label
_atom_site_type_symbol
_atom_site_fract_x
_atom_site_fract_y
_atom_site_fract_z
Nb1 Nb 0.0050 0.1611 0.0256
Nb2 Nb 0.0756 0.3309 0.3806
Nb3 Nb 0.1863 0.3773 0.5018
Tl1 Tl 0.0000 0.4516 0.7500
Tl2 Tl 0.1758 0.0755 0.8601
S1 S 0.0000 0.1934 0.2500
Br1 Br 0.0000 0.1130 0.7500
Br2 Br 0.0537 0.3895 0.1155
Br3 Br 0.0710 0.2584 0.5898
Br4 Br 0.0742 0.0637 0.1031
Br5 Br 0.1287 0.2105 0.9810
Br6 Br 0.1299 0.1088 0.5015
Br7 Br 0.1713 0.4840 0.4262
Br8 Br 0.1838 0.3728 0.7627
Br9 Br 0.2090 0.2977 0.3167

***

# Nb6Tl3SBr17, optimized geometry, DFT PBE-GGA
# crystal system = monoclinic
# ΔE_f = -27.8 eV per formula unit
# polymorph energy (0 for the lowest one) = 22 meV/atom
# total energy after the MP2020 corrections = -4.720 eV per atom
data_Nb6Tl3SBr17
_chemical_formula_sum 'Nb24 Tl12 S4 Br68'
_space_group_name_H-M_alt 'C 1 2/c 1'
_space_group_IT_number 15
_cell_length_a 15.8439
_cell_length_b 25.2736
_cell_length_c 9.9463
_cell_angle_alpha 90.00
_cell_angle_beta 100.31
_cell_angle_gamma 90.00
loop_
_space_group_symop_operation_xyz
'x,y,z'
'-x,-y,-z'
'-x,y,-z+1/2'
'x,-y,z+1/2'
'x+1/2,y+1/2,z'
'-x+1/2,-y+1/2,-z'
'-x+1/2,y+1/2,-z+1/2'
'x+1/2,-y+1/2,z+1/2'
loop_
_atom_site_label
_atom_site_type_symbol
_atom_site_fract_x
_atom_site_fract_y
_atom_site_fract_z
Nb1 Nb 0.0037 0.1709 0.0265
Nb2 Nb 0.0934 0.3338 0.3837
Nb3 Nb 0.1899 0.3883 0.5354
Tl1 Tl 0.0000 0.4718 0.7500
Tl2 Tl 0.2021 0.1014 0.8821
S1 S 0.0000 0.1900 0.2500
Br1 Br 0.0000 0.1332 0.7500
Br2 Br 0.0638 0.3807 0.1286
Br3 Br 0.0658 0.2638 0.5705
Br4 Br 0.0666 0.0782 0.0830
Br5 Br 0.1453 0.2094 0.9948
Br6 Br 0.1522 0.3745 0.7687
Br7 Br 0.1519 0.4840 0.4804
Br8 Br 0.1558 0.1251 0.5146
Br9 Br 0.2046 0.2777 0.3020

***

# Nb3Se10Br3, optimized geometry, DFT PBE-GGA
# crystal system = monoclinic
# ΔE_f = -11.9 eV per formula unit
# polymorph energy (0 for the lowest one) = 3 meV/atom
# total energy after the MP2020 corrections = -5.131 eV per atom
data_Nb3Se10Br3
_chemical_formula_sum 'Nb24 Se80 Br24'
_space_group_name_H-M_alt 'P 1 21/c 1'
_space_group_IT_number 14
_cell_length_a 19.6664
_cell_length_b 13.9630
_cell_length_c 14.2559
_cell_angle_alpha 90.00
_cell_angle_beta 90.09
_cell_angle_gamma 90.00
loop_
_space_group_symop_operation_xyz
'x,y,z'
'-x,-y,-z'
'-x,y+1/2,-z+1/2'
'x,-y+1/2,z+1/2'
loop_
_atom_site_label
_atom_site_type_symbol
_atom_site_fract_x
_atom_site_fract_y
_atom_site_fract_z
Nb1 Nb 0.0434 0.2453 0.4478
Nb2 Nb 0.1042 0.7488 0.1341
Nb3 Nb 0.2472 0.2396 0.4564
Nb4 Nb 0.2526 0.7385 0.2126
Nb5 Nb 0.3963 0.2383 0.3795
Nb6 Nb 0.4560 0.7319 0.2039
Se1 Se 0.0037 0.1689 0.2845
Se2 Se 0.0166 0.6013 0.6234
Se3 Se 0.0321 0.5960 0.0722
Se4 Se 0.0604 0.6576 0.4814
Se5 Se 0.1456 0.1415 0.0167
Se6 Se 0.1482 0.1682 0.8548
Se7 Se 0.1498 0.6684 0.7913
Se8 Se 0.1756 0.5911 0.1885
Se9 Se 0.1930 0.6033 0.6528
Se10 Se 0.2104 0.6690 0.0484
Se11 Se 0.2890 0.1570 0.2979
Se12 Se 0.3104 0.1101 0.8879
Se13 Se 0.3220 0.0873 0.4432
Se14 Se 0.3518 0.1674 0.0309
Se15 Se 0.3534 0.6710 0.6157
Se16 Se 0.3577 0.6530 0.7788
Se17 Se 0.4390 0.1781 0.7215
Se18 Se 0.4694 0.0820 0.3260
Se19 Se 0.4833 0.1128 0.8596
Se20 Se 0.4944 0.6638 0.0363
Br1 Br 0.0407 0.1843 0.6297
Br2 Br 0.1437 0.1074 0.4446
Br3 Br 0.2452 0.1835 0.6393
Br4 Br 0.2522 0.6703 0.3916
Br5 Br 0.3526 0.6000 0.1953
Br6 Br 0.4589 0.6665 0.3845

***

# Nb3Se10Br3, optimized geometry, DFT PBE-GGA
# crystal system = monoclinic
# ΔE_f = -12.0 eV per formula unit
# polymorph energy (0 for the lowest one) = 0 meV/atom
# total energy after the MP2020 corrections = -5.134 eV per atom
data_Nb3Se10Br3
_chemical_formula_sum 'Nb12 Se40 Br12'
_space_group_name_H-M_alt 'P 1 21/m 1'
_space_group_IT_number 11
_cell_length_a 8.0231
_cell_length_b 19.5781
_cell_length_c 12.9174
_cell_angle_alpha 90.00
_cell_angle_beta 97.58
_cell_angle_gamma 90.00
loop_
_space_group_symop_operation_xyz
'x,y,z'
'-x,-y,-z'
'-x,y+1/2,-z'
'x,-y+1/2,z'
loop_
_atom_site_label
_atom_site_type_symbol
_atom_site_fract_x
_atom_site_fract_y
_atom_site_fract_z
Nb1 Nb 0.1620 0.1482 0.1683
Nb2 Nb 0.2478 0.0001 0.2499
Nb3 Nb 0.3219 0.6478 0.3353
Se1 Se 0.0364 0.5732 0.7375
Se2 Se 0.0485 0.6080 0.2086
Se3 Se 0.0837 0.5710 0.3866
Se4 Se 0.2152 0.1093 0.3685
Se5 Se 0.2214 0.0413 0.0510
Se6 Se 0.2638 0.2500 0.0451
Se7 Se 0.3577 0.7500 0.1959
Se8 Se 0.3915 0.2500 0.2186
Se9 Se 0.4430 0.2500 0.6544
Se10 Se 0.4514 0.0863 0.1595
Se11 Se 0.4675 0.0424 0.6372
Se12 Se 0.4811 0.5880 0.1944
Br1 Br 0.0252 0.7500 0.7595
Br2 Br 0.1122 0.6467 0.9816
Br3 Br 0.1192 0.7500 0.3934
Br4 Br 0.4100 0.6457 0.5467

***

# Nb3Se5Br7, optimized geometry, DFT PBE-GGA
# crystal system = monoclinic
# ΔE_f = -15.5 eV per formula unit
# total energy after the MP2020 corrections = -4.980 eV per atom
data_Nb3Se5Br7
_chemical_formula_sum 'Nb6 Se10 Br14'
_space_group_name_H-M_alt 'P 1 21/m 1'
_space_group_IT_number 11
_cell_length_a 8.6250
_cell_length_b 13.2392
_cell_length_c 8.9659
_cell_angle_alpha 90.00
_cell_angle_beta 109.57
_cell_angle_gamma 90.00
loop_
_space_group_symop_operation_xyz
'x,y,z'
'-x,-y,-z'
'-x,y+1/2,-z'
'x,-y+1/2,z'
loop_
_atom_site_label
_atom_site_type_symbol
_atom_site_fract_x
_atom_site_fract_y
_atom_site_fract_z
Nb1 Nb 0.0237 0.1064 0.0563
Nb2 Nb 0.3979 0.2500 0.4738
Se1 Se 0.1653 0.0253 0.8635
Se2 Se 0.2617 0.5305 0.1239
Se3 Se 0.4172 0.2500 0.7360
Br1 Br 0.0580 0.7500 0.1854
Br2 Br 0.1504 0.1130 0.3895
Br3 Br 0.1657 0.7500 0.8659
Br4 Br 0.2773 0.2500 0.1239
Br5 Br 0.4083 0.6149 0.5443

***

# NbTeBr3, optimized geometry, DFT PBE-GGA
# crystal system = monoclinic
# ΔE_f = -5.5 eV per formula unit
# total energy after the MP2020 corrections = -4.722 eV per atom
data_NbTeBr3
_chemical_formula_sum 'Nb4 Te4 Br12'
_space_group_name_H-M_alt 'P 1 2/c 1'
_space_group_IT_number 13
_cell_length_a 7.0393
_cell_length_b 7.6163
_cell_length_c 12.8176
_cell_angle_alpha 90.00
_cell_angle_beta 98.02
_cell_angle_gamma 90.00
loop_
_space_group_symop_operation_xyz
'x,y,z'
'-x,-y,-z'
'-x,y,-z+1/2'
'x,-y,z+1/2'
loop_
_atom_site_label
_atom_site_type_symbol
_atom_site_fract_x
_atom_site_fract_y
_atom_site_fract_z
Nb1 Nb 0.0686 0.1380 0.1483
Te1 Te 0.1782 0.4076 0.3053
Br1 Br 0.1441 0.1695 0.5428
Br2 Br 0.2390 0.0499 0.8030
Br3 Br 0.3516 0.2686 0.0687

***

# Nd3Br, optimized geometry, DFT PBE-GGA
# crystal system = hexagonal
# ΔE_f = -1.0 eV per formula unit
# polymorph energy (0 for the lowest one) = 5 meV/atom
# total energy after the MP2020 corrections = -4.237 eV per atom
data_Nd3Br
_chemical_formula_sum 'Nd6 Br2'
_space_group_name_H-M_alt 'P 63/m m c'
_space_group_IT_number 194
_space_group_name_Hall '-P 6c 2c'
_cell_length_a 7.1698
_cell_length_b 7.1698
_cell_length_c 5.6015
_cell_angle_alpha 90.00
_cell_angle_beta 90.00
_cell_angle_gamma 120.00
loop_
_atom_site_label
_atom_site_type_symbol
_atom_site_fract_x
_atom_site_fract_y
_atom_site_fract_z
Nd1 Nd 0.1695 0.3389 0.2500
Br1 Br 0.3333 0.6667 0.7500

***

# Nd3Br, optimized geometry, DFT PBE-GGA
# crystal system = cubic
# ΔE_f = -1.0 eV per formula unit
# polymorph energy (0 for the lowest one) = 0 meV/atom
# total energy after the MP2020 corrections = -4.242 eV per atom
data_Nd3Br
_chemical_formula_sum 'Nd3 Br1'
_space_group_name_H-M_alt 'P m -3 m'
_space_group_IT_number 221
_space_group_name_Hall '-P 4 2 3'
_cell_length_a 4.9770
_cell_length_b 4.9770
_cell_length_c 4.9770
_cell_angle_alpha 90.00
_cell_angle_beta 90.00
_cell_angle_gamma 90.00
loop_
_atom_site_label
_atom_site_type_symbol
_atom_site_fract_x
_atom_site_fract_y
_atom_site_fract_z
Nd1 Nd 0.0000 0.0000 0.5000
Br1 Br 0.5000 0.5000 0.5000

***

What is the ΔE_f in the fifth record? -15.5 eV per formula unit

***

total energy after the MP2020 corrections of number 5 (Nb3Se5Br7)? -4.980 eV per atom

***

The lowest total energy after the MP2020 corrections belongs to which entry? number 4